No. 1
! Li3V2O4F2, optimized geometry, DFT PBE+U; values from VASP
! calculated volume: 461.6 Å³/cell
&SYSTEM
  ibrav = 0, nat = 44, ntyp = 4
/
ATOMIC_SPECIES
Li 6.94 Li.upf
V 50.94 V.upf
O 16.00 O.upf
F 19.00 F.upf
CELL_PARAMETERS angstrom
5.198 -2.984 0.000
5.198 2.984 0.000
-0.103 0.000 14.881
ATOMIC_POSITIONS crystal
Li 0.000 0.000 0.000
Li 0.004 0.004 0.494
Li 0.171 0.171 0.850
Li 0.202 0.670 0.871
Li 0.341 0.341 0.114
Li 0.345 0.814 0.123
Li 0.505 0.998 0.493
Li 0.535 0.961 0.990
Li 0.670 0.202 0.871
Li 0.814 0.345 0.123
Li 0.961 0.535 0.990
Li 0.998 0.505 0.493
V 0.169 0.671 0.329
V 0.171 0.171 0.323
V 0.340 0.836 0.657
V 0.342 0.342 0.655
V 0.667 0.667 0.327
V 0.671 0.169 0.329
V 0.835 0.835 0.669
V 0.836 0.340 0.657
O 0.003 0.495 0.261
O 0.004 0.004 0.264
O 0.005 0.005 0.725
O 0.019 0.503 0.725
O 0.155 0.671 0.587
O 0.172 0.172 0.582
O 0.332 0.852 0.401
O 0.333 0.333 0.399
O 0.495 0.003 0.261
O 0.501 0.501 0.724
O 0.503 0.019 0.725
O 0.515 0.515 0.260
O 0.671 0.155 0.587
O 0.680 0.680 0.588
O 0.827 0.827 0.403
O 0.852 0.332 0.401
F 0.164 0.670 0.072
F 0.165 0.165 0.084
F 0.322 0.870 0.916
F 0.332 0.332 0.903
F 0.670 0.164 0.072
F 0.671 0.671 0.075
F 0.852 0.852 0.913
F 0.870 0.322 0.916

=====

No. 2
! LiVOF2, optimized geometry, DFT PBE+U; values from VASP
! calculated volume: 444.4 Å³/cell
&SYSTEM
  ibrav = 0, nat = 40, ntyp = 4
/
ATOMIC_SPECIES
Li 6.94 Li.upf
V 50.94 V.upf
O 16.00 O.upf
F 19.00 F.upf
CELL_PARAMETERS angstrom
8.824 0.000 0.000
0.000 5.275 0.000
-8.257 0.000 9.547
ATOMIC_POSITIONS crystal
Li 0.000 0.072 0.000
Li 0.000 0.928 0.500
Li 0.196 0.427 0.505
Li 0.196 0.573 0.005
Li 0.676 0.412 0.695
Li 0.676 0.588 0.195
Li 0.877 0.093 0.213
Li 0.877 0.907 0.713
V 0.040 0.396 0.694
V 0.040 0.604 0.194
V 0.393 0.041 0.419
V 0.393 0.959 0.919
V 0.508 0.077 0.190
V 0.508 0.923 0.690
V 0.592 0.390 0.933
V 0.592 0.610 0.433
O 0.131 0.094 0.795
O 0.131 0.906 0.295
O 0.414 0.204 0.562
O 0.414 0.796 0.062
O 0.494 0.076 0.826
O 0.494 0.924 0.326
O 0.571 0.238 0.067
O 0.571 0.762 0.567
F 0.057 0.275 0.556
F 0.057 0.725 0.056
F 0.237 0.240 0.073
F 0.237 0.760 0.573
F 0.317 0.421 0.321
F 0.317 0.579 0.821
F 0.622 0.421 0.306
F 0.622 0.579 0.806
F 0.733 0.289 0.562
F 0.733 0.711 0.062
F 0.791 0.080 0.803
F 0.791 0.920 0.303
F 0.891 0.278 0.066
F 0.891 0.722 0.566
F 0.977 0.429 0.302
F 0.977 0.571 0.802

=====

No. 3
! LiVOF3, optimized geometry, DFT PBE+U; values from VASP
! calculated volume: 138.6 Å³/cell
&SYSTEM
  ibrav = 0, nat = 12, ntyp = 4
/
ATOMIC_SPECIES
Li 6.94 Li.upf
V 50.94 V.upf
O 16.00 O.upf
F 19.00 F.upf
CELL_PARAMETERS angstrom
6.615 -2.365 0.000
6.615 2.365 0.000
-1.645 0.000 4.431
ATOMIC_POSITIONS crystal
Li 0.000 0.000 0.000
Li 0.504 0.496 0.500
V 0.283 0.331 0.783
V 0.669 0.717 0.217
O 0.021 0.579 0.524
O 0.421 0.979 0.476
F 0.221 0.617 0.128
F 0.383 0.779 0.872
F 0.590 0.015 0.074
F 0.625 0.216 0.718
F 0.784 0.375 0.282
F 0.985 0.410 0.926

=====

No. 4
! LiVOF2, optimized geometry, DFT PBE+U; values from VASP
! calculated volume: 230.5 Å³/cell
&SYSTEM
  ibrav = 0, nat = 20, ntyp = 4
/
ATOMIC_SPECIES
Li 6.94 Li.upf
V 50.94 V.upf
O 16.00 O.upf
F 19.00 F.upf
CELL_PARAMETERS angstrom
5.330 0.000 0.000
0.706 6.574 0.000
0.794 0.537 6.580
ATOMIC_POSITIONS crystal
Li 0.177 0.106 0.282
Li 0.322 0.718 0.891
Li 0.678 0.282 0.109
Li 0.823 0.894 0.718
V 0.248 0.575 0.417
V 0.252 0.244 0.759
V 0.748 0.756 0.241
V 0.752 0.425 0.583
O 0.112 0.306 0.488
O 0.391 0.512 0.692
O 0.609 0.488 0.308
O 0.888 0.694 0.512
F 0.109 0.640 0.135
F 0.140 0.963 0.786
F 0.362 0.212 0.037
F 0.384 0.860 0.358
F 0.616 0.140 0.642
F 0.638 0.788 0.963
F 0.860 0.037 0.214
F 0.891 0.360 0.865

=====

No. 5
! LiV2OF5, optimized geometry, DFT PBE+U; values from VASP
! calculated volume: 326.0 Å³/cell
&SYSTEM
  ibrav = 0, nat = 27, ntyp = 4
/
ATOMIC_SPECIES
Li 6.94 Li.upf
V 50.94 V.upf
O 16.00 O.upf
F 19.00 F.upf
CELL_PARAMETERS angstrom
5.167 0.000 0.000
-0.055 5.492 0.000
-2.573 -1.795 11.487
ATOMIC_POSITIONS crystal
Li 0.000 0.000 0.000
Li 0.129 0.036 0.300
Li 0.803 0.829 0.665
V 0.049 0.492 0.153
V 0.244 0.681 0.486
V 0.377 0.853 0.819
V 0.578 0.018 0.152
V 0.716 0.163 0.486
V 0.910 0.331 0.818
O 0.102 0.051 0.854
O 0.551 0.888 0.521
O 0.893 0.210 0.186
F 0.015 0.959 0.435
F 0.164 0.756 0.650
F 0.222 0.805 0.112
F 0.230 0.561 0.863
F 0.260 0.603 0.312
F 0.331 0.272 0.101
F 0.445 0.394 0.528
F 0.501 0.101 0.315
F 0.575 0.109 0.769
F 0.623 0.922 0.984
F 0.688 0.634 0.775
F 0.776 0.730 0.197
F 0.865 0.421 0.984
F 0.915 0.451 0.448
F 0.930 0.249 0.651

=====

No. 6
! LiVOF3, optimized geometry, DFT PBE+U; values from VASP
! calculated volume: 296.9 Å³/cell
&SYSTEM
  ibrav = 0, nat = 24, ntyp = 4
/
ATOMIC_SPECIES
F 19.00 F.upf
O 16.00 O.upf
Li 6.94 Li.upf
V 50.94 V.upf
CELL_PARAMETERS angstrom
-0.095 0.057 5.036
3.088 5.146 0.000
-8.425 5.056 0.216
ATOMIC_POSITIONS crystal
F 0.105 0.144 0.884
F 0.661 0.854 0.874
F 0.660 0.354 0.374
F 0.104 0.644 0.385
F 0.840 0.354 0.626
F 0.430 0.595 0.117
F 0.430 0.095 0.617
F 0.395 0.144 0.116
F 0.396 0.644 0.615
F 0.839 0.854 0.126
F 0.070 0.595 0.883
F 0.070 0.095 0.383
O 0.934 0.912 0.599
O 0.934 0.412 0.099
O 0.566 0.912 0.401
O 0.566 0.412 0.901
Li 0.768 0.149 0.802
Li 0.768 0.649 0.302
Li 0.733 0.649 0.698
Li 0.732 0.149 0.198
V 0.250 0.351 0.000
V 0.250 0.851 0.500
V 0.750 0.126 0.500
V 0.750 0.626 0.000

=====

no.,total magnetization (μB/f.u.),distance to the lowest polymorph of the same formula (meV/atom),DFT total energy (eV per atom)
1,3.00,46,-6.3305
2,2.00,59,-6.1975
3,1.00,20,-5.9428
4,0.00,2,-6.2546
5,4.00,25,-6.1707
6,1.00,74,-5.8887